Entry 1:
GGA-PBE KEuHf4O12, relaxed; ΔE_f = -55.2 eV/f.u.; E = -8.751 eV per atom; total energy after the MP2020 corrections = -165.8 eV/cell; crystal system = orthorhombic
1.0
8.203 0.000 0.000
0.000 4.057 4.080
0.000 -4.057 4.080
K Eu Hf O
1 1 4 12
Direct
0.000 0.000 0.000
0.500 0.459 0.459
0.244 0.481 0.982
0.244 0.982 0.481
0.756 0.481 0.982
0.756 0.982 0.481
0.000 0.509 0.946
0.000 0.946 0.509
0.227 0.273 0.273
0.254 0.199 0.765
0.254 0.765 0.199
0.308 0.677 0.677
0.500 0.056 0.456
0.500 0.456 0.056
0.692 0.677 0.677
0.746 0.199 0.765
0.746 0.765 0.199
0.773 0.273 0.273

***

Entry 2:
GGA-PBE KEuHfSnO6, relaxed; ΔE_f = -28.4 eV/f.u.; E = -7.930 eV per atom; total energy after the MP2020 corrections = -83.4 eV/cell; crystal system = cubic
1.0
0.000 4.114 4.114
4.114 0.000 4.114
4.114 4.114 0.000
K Eu Hf Sn O
1 1 1 1 6
Direct
0.000 0.000 0.000
0.500 0.500 0.500
0.250 0.250 0.250
0.750 0.750 0.750
0.000 0.000 0.500
0.000 0.500 0.000
0.000 0.500 0.500
0.500 0.000 0.000
0.500 0.000 0.500
0.500 0.500 0.000

***

Entry 3:
GGA-PBE KEuHfTiO6, relaxed; ΔE_f = -33.0 eV/f.u.; E = -8.777 eV per atom; total energy after the MP2020 corrections = -91.9 eV/cell; crystal system = cubic
1.0
0.000 4.009 4.009
4.009 0.000 4.009
4.009 4.009 0.000
K Eu Hf Ti O
1 1 1 1 6
Direct
0.000 0.000 0.000
0.500 0.500 0.500
0.250 0.250 0.250
0.750 0.750 0.750
0.506 0.506 0.994
0.506 0.994 0.506
0.506 0.994 0.994
0.994 0.506 0.506
0.994 0.506 0.994
0.994 0.994 0.506

***

Entry 4:
GGA-PBE NaEuHfNbO6, relaxed; ΔE_f = -32.8 eV/f.u.; E = -9.004 eV per atom; total energy after the MP2020 corrections = -94.2 eV/cell; crystal system = cubic
1.0
0.000 4.082 4.082
4.082 0.000 4.082
4.082 4.082 0.000
Na Eu Hf Nb O
1 1 1 1 6
Direct
0.000 0.000 0.000
0.500 0.500 0.500
0.750 0.750 0.750
0.250 0.250 0.250
0.003 0.003 0.497
0.003 0.497 0.003
0.003 0.497 0.497
0.497 0.003 0.003
0.497 0.003 0.497
0.497 0.497 0.003

***

Entry 5:
GGA-PBE NaEuHf2O6, relaxed; ΔE_f = -33.9 eV/f.u.; E = -9.097 eV per atom; total energy after the MP2020 corrections = -95.1 eV/cell; crystal system = cubic
1.0
0.000 4.102 4.102
4.102 0.000 4.102
4.102 4.102 0.000
Na Eu Hf O
1 1 2 6
Direct
0.000 0.000 0.000
0.500 0.500 0.500
0.250 0.250 0.250
0.750 0.750 0.750
0.000 0.000 0.500
0.000 0.500 0.000
0.000 0.500 0.500
0.500 0.000 0.000
0.500 0.000 0.500
0.500 0.500 0.000

***

Entry 6:
GGA-PBE NaEuHfTiO6, relaxed; ΔE_f = -32.9 eV/f.u.; E = -8.790 eV per atom; total energy after the MP2020 corrections = -92.0 eV/cell; crystal system = cubic
1.0
0.000 3.997 3.997
3.997 0.000 3.997
3.997 3.997 0.000
Na Eu Hf Ti O
1 1 1 1 6
Direct
0.000 0.000 0.000
0.500 0.500 0.500
0.250 0.250 0.250
0.750 0.750 0.750
0.506 0.506 0.994
0.506 0.994 0.506
0.506 0.994 0.994
0.994 0.506 0.506
0.994 0.506 0.994
0.994 0.994 0.506

***

Entry 7:
GGA-PBE Eu2HfNbO6, relaxed; ΔE_f = -34.0 eV/f.u.; E = -10.009 eV per atom; total energy after the MP2020 corrections = -104.2 eV/cell; crystal system = cubic
1.0
0.000 4.106 4.106
4.106 0.000 4.106
4.106 4.106 0.000
Eu Hf Nb O
2 1 1 6
Direct
0.250 0.250 0.250
0.750 0.750 0.750
0.000 0.000 0.000
0.500 0.500 0.500
0.251 0.251 0.749
0.251 0.749 0.251
0.251 0.749 0.749
0.749 0.251 0.251
0.749 0.251 0.749
0.749 0.749 0.251

***

Entry 8:
GGA-PBE SrEuHfNbO6, relaxed; ΔE_f = -34.2 eV/f.u.; E = -9.174 eV per atom; total energy after the MP2020 corrections = -95.9 eV/cell; crystal system = cubic
1.0
0.000 4.122 4.122
4.122 0.000 4.122
4.122 4.122 0.000
Sr Eu Hf Nb O
1 1 1 1 6
Direct
0.000 0.000 0.000
0.500 0.500 0.500
0.250 0.250 0.250
0.750 0.750 0.750
0.501 0.501 0.999
0.501 0.999 0.501
0.501 0.999 0.999
0.999 0.501 0.501
0.999 0.501 0.999
0.999 0.999 0.501

***

Entry 9:
GGA-PBE NdEuHfTiO6, relaxed; ΔE_f = -35.5 eV/f.u.; E = -9.393 eV per atom; total energy after the MP2020 corrections = -98.0 eV/cell; crystal system = cubic
1.0
0.000 4.031 4.031
4.031 0.000 4.031
4.031 4.031 0.000
Nd Eu Hf Ti O
1 1 1 1 6
Direct
0.000 0.000 0.000
0.500 0.500 0.500
0.250 0.250 0.250
0.750 0.750 0.750
0.504 0.504 0.996
0.504 0.996 0.504
0.504 0.996 0.996
0.996 0.504 0.504
0.996 0.504 0.996
0.996 0.996 0.504

***

Entry 10:
GGA-PBE Eu2Hf2O7, relaxed; ΔE_f = -40.5 eV/f.u.; E = -10.068 eV per atom; total energy after the MP2020 corrections = -231.1 eV/cell; crystal system = cubic
1.0
0.000 5.326 5.326
5.326 0.000 5.326
5.326 5.326 0.000
Eu Hf O
4 4 14
Direct
0.000 0.000 0.000
0.000 0.000 0.500
0.000 0.500 0.000
0.500 0.000 0.000
0.000 0.500 0.500
0.500 0.000 0.500
0.500 0.500 0.000
0.500 0.500 0.500
0.125 0.125 0.125
0.167 0.167 0.583
0.167 0.583 0.167
0.167 0.583 0.583
0.417 0.417 0.833
0.417 0.833 0.417
0.417 0.833 0.833
0.583 0.167 0.167
0.583 0.167 0.583
0.583 0.583 0.167
0.833 0.417 0.417
0.833 0.417 0.833
0.833 0.833 0.417
0.875 0.875 0.875

***

Entry 11:
GGA-PBE EuHfO3, relaxed; ΔE_f = -18.6 eV/f.u.; E = -10.325 eV per atom; total energy after the MP2020 corrections = -53.7 eV/cell; crystal system = cubic
1.0
4.134 0.000 0.000
0.000 4.134 0.000
0.000 0.000 4.134
Eu Hf O
1 1 3
Direct
0.000 0.000 0.000
0.500 0.500 0.500
0.000 0.500 0.500
0.500 0.000 0.500
0.500 0.500 0.000

***

Entry 12:
GGA-PBE SmEuHf2O6, relaxed; ΔE_f = -36.4 eV/f.u.; E = -9.683 eV per atom; total energy after the MP2020 corrections = -100.9 eV/cell; crystal system = orthorhombic
1.0
3.976 -4.041 0.000
3.976 4.041 0.000
0.000 0.000 4.202
Sm Eu Hf O
1 1 2 6
Direct
0.000 0.000 0.000
0.500 0.500 0.000
0.000 0.500 0.500
0.500 0.000 0.500
0.000 0.500 0.000
0.175 0.175 0.500
0.319 0.681 0.500
0.500 0.000 0.000
0.681 0.319 0.500
0.825 0.825 0.500

***

Entry 13:
GGA-PBE SmEuHfTiO6, relaxed; ΔE_f = -35.3 eV/f.u.; E = -9.368 eV per atom; total energy after the MP2020 corrections = -97.8 eV/cell; crystal system = cubic
1.0
0.000 4.023 4.023
4.023 0.000 4.023
4.023 4.023 0.000
Sm Eu Hf Ti O
1 1 1 1 6
Direct
0.000 0.000 0.000
0.500 0.500 0.500
0.750 0.750 0.750
0.250 0.250 0.250
0.005 0.005 0.495
0.005 0.495 0.005
0.005 0.495 0.495
0.495 0.005 0.005
0.495 0.005 0.495
0.495 0.495 0.005

***

Entry 14:
GGA-PBE Eu2HfSnO6, relaxed; ΔE_f = -31.5 eV/f.u.; E = -9.152 eV per atom; total energy after the MP2020 corrections = -95.6 eV/cell; crystal system = cubic
1.0
0.000 4.118 4.118
4.118 0.000 4.118
4.118 4.118 0.000
Eu Hf Sn O
2 1 1 6
Direct
0.250 0.250 0.250
0.750 0.750 0.750
0.000 0.000 0.000
0.500 0.500 0.500
0.250 0.250 0.750
0.250 0.750 0.250
0.250 0.750 0.750
0.750 0.250 0.250
0.750 0.250 0.750
0.750 0.750 0.250

***

Entry 15:
GGA-PBE SrEuHf4O12, relaxed; ΔE_f = -59.6 eV/f.u.; E = -9.028 eV per atom; total energy after the MP2020 corrections = -170.7 eV/cell; crystal system = orthorhombic
1.0
8.147 0.000 0.000
0.000 4.033 4.082
0.000 -4.033 4.082
Sr Eu Hf O
1 1 4 12
Direct
0.000 0.000 0.000
0.500 0.475 0.475
0.249 0.491 0.978
0.249 0.978 0.491
0.751 0.491 0.978
0.751 0.978 0.491
0.000 0.009 0.437
0.000 0.437 0.009
0.208 0.782 0.782
0.271 0.280 0.687
0.271 0.687 0.280
0.288 0.209 0.209
0.500 0.521 0.932
0.500 0.932 0.521
0.712 0.209 0.209
0.729 0.280 0.687
0.729 0.687 0.280
0.792 0.782 0.782

***

Entry 16:
GGA-PBE EuInHg2, relaxed; ΔE_f = -1.7 eV/f.u.; E = -3.829 eV per atom; crystal system = cubic
1.0
0.000 3.757 3.757
3.757 0.000 3.757
3.757 3.757 0.000
Eu In Hg
1 1 2
Direct
0.000 0.000 0.000
0.500 0.500 0.500
0.250 0.250 0.250
0.750 0.750 0.750

***

Entry 17:
GGA-PBE EuMgHg2, relaxed; ΔE_f = -1.7 eV/f.u.; E = -3.553 eV per atom; crystal system = cubic
1.0
0.000 3.705 3.705
3.705 0.000 3.705
3.705 3.705 0.000
Eu Mg Hg
1 1 2
Direct
0.000 0.000 0.000
0.500 0.500 0.500
0.250 0.250 0.250
0.750 0.750 0.750

***

Entry 18:
GGA-PBE Eu2HgO4, relaxed; ΔE_f = -17.2 eV/f.u.; E = -7.865 eV per atom; total energy after the MP2020 corrections = -115.6 eV/cell; crystal system = monoclinic
1.0
6.974 -1.888 0.000
6.974 1.888 0.000
-5.418 0.000 8.747
Eu Hg O
4 2 8
Direct
0.121 0.121 0.457
0.337 0.337 0.202
0.663 0.663 0.798
0.879 0.879 0.543
0.385 0.385 0.838
0.615 0.615 0.162
0.082 0.082 0.649
0.268 0.268 0.387
0.293 0.293 0.939
0.465 0.465 0.719
0.535 0.535 0.281
0.707 0.707 0.061
0.732 0.732 0.613
0.918 0.918 0.351

***

Entry 19:
GGA-PBE EuHgO3, relaxed; ΔE_f = -7.1 eV/f.u.; E = -6.081 eV per atom; total energy after the MP2020 corrections = -32.5 eV/cell; crystal system = cubic
1.0
4.240 0.000 0.000
0.000 4.240 0.000
0.000 0.000 4.240
Eu Hg O
1 1 3
Direct
0.000 0.000 0.000
0.500 0.500 0.500
0.000 0.500 0.500
0.500 0.000 0.500
0.500 0.500 0.000

***

Entry 20:
GGA-PBE EuHg2Pb, relaxed; ΔE_f = -1.6 eV/f.u.; E = -4.041 eV per atom; crystal system = cubic
1.0
0.000 3.820 3.820
3.820 0.000 3.820
3.820 3.820 0.000
Eu Hg Pb
1 2 1
Direct
0.000 0.000 0.000
0.250 0.250 0.250
0.750 0.750 0.750
0.500 0.500 0.500

***

Entry 21:
GGA-PBE PmEuHg2, relaxed; ΔE_f = -2.0 eV/f.u.; E = -4.416 eV per atom; crystal system = cubic
1.0
0.000 3.889 3.889
3.889 0.000 3.889
3.889 3.889 0.000
Pm Eu Hg
1 1 2
Direct
0.000 0.000 0.000
0.500 0.500 0.500
0.250 0.250 0.250
0.750 0.750 0.750

***

Entry 22:
GGA-PBE PrEuHg2, relaxed; ΔE_f = -2.1 eV/f.u.; E = -4.429 eV per atom; crystal system = cubic
1.0
0.000 3.897 3.897
3.897 0.000 3.897
3.897 3.897 0.000
Pr Eu Hg
1 1 2
Direct
0.000 0.000 0.000
0.500 0.500 0.500
0.250 0.250 0.250
0.750 0.750 0.750

***

Entry 23:
GGA-PBE Eu2HgSb, relaxed; ΔE_f = -3.3 eV/f.u.; E = -7.024 eV per atom; total energy after the MP2020 corrections = -28.3 eV/cell; crystal system = cubic
1.0
0.000 3.928 3.928
3.928 0.000 3.928
3.928 3.928 0.000
Eu Hg Sb
2 1 1
Direct
0.250 0.250 0.250
0.750 0.750 0.750
0.000 0.000 0.000
0.500 0.500 0.500